DFT (PBE with a Hubbard U) results for LiCrP3O9 after structural relaxation.

Calculated values
calculated total energy: -7.162 eV per atom
theoretical density: 3.0 g/cm³
ΔE_f: -2580 meV/atom

Cell: 6.5781 6.9316 7.3534 Å, 81.60 88.17 86.83°
Fractional coordinates of all 28 atoms:
Li1 0.1411 0.0524 0.1724
Li2 0.8589 0.9476 0.8276
Cr1 0.1639 0.5788 0.1413
Cr2 0.8361 0.4212 0.8587
P1 0.1437 0.7280 0.5476
P2 0.3276 0.3839 0.7739
P3 0.3562 0.9453 0.7961
P4 0.6438 0.0547 0.2039
P5 0.6724 0.6161 0.2261
P6 0.8563 0.2720 0.4524
O1 0.0457 0.2629 0.3353
O2 0.1296 0.7701 0.3399
O3 0.1566 0.4057 0.9192
O4 0.1817 0.8966 0.9310
O5 0.2537 0.5105 0.5844
O6 0.3131 0.8641 0.6040
O7 0.3303 0.1761 0.7122
O8 0.4297 0.1088 0.1548
O9 0.4695 0.5558 0.1801
O10 0.5305 0.4442 0.8199
O11 0.5703 0.8912 0.8452
O12 0.6697 0.8239 0.2878
O13 0.6869 0.1359 0.3960
O14 0.7463 0.4895 0.4156
O15 0.8183 0.1034 0.0690
O16 0.8434 0.5943 0.0808
O17 0.8704 0.2299 0.6601
O18 0.9543 0.7371 0.6647

---

DFT (PBE with a Hubbard U) results for La2MgZnNiO6 after structural relaxation.

Calculated values
calculated total energy: -6.455 eV per atom
theoretical density: 6.0 g/cm³
ΔE_f: -2679 meV/atom

Cell: 5.5184 5.7695 5.8158 Å, 61.88 62.78 78.20°
Fractional coordinates of all 11 atoms:
La1 0.0000 0.0000 0.0000
La2 0.2922 0.6527 0.5543
Mg1 0.4369 0.2839 0.1890
Zn1 0.8311 0.3683 0.3736
Ni1 0.6507 0.8229 0.7797
O1 0.0109 0.0408 0.5425
O2 0.2941 0.6242 0.9853
O3 0.4312 0.2229 0.5642
O4 0.5240 0.9822 0.0846
O5 0.7818 0.6707 0.4660
O6 0.8407 0.4377 0.9929

---

DFT (PBE with a Hubbard U) results for Li2FeCo3O8 after structural relaxation.

Calculated values
calculated total energy: -5.874 eV per atom
theoretical density: 4.4 g/cm³
ΔE_f: -1550 meV/atom

Cell: 5.7744 5.8112 10.2021 Å, 73.53 73.58 60.44°
Fractional coordinates of all 28 atoms:
Li1 0.0532 0.0634 0.3172
Li2 0.4359 0.4471 0.1841
Li3 0.5641 0.5529 0.8159
Li4 0.9468 0.9366 0.6828
Fe1 0.2528 0.2475 0.7495
Fe2 0.7472 0.7525 0.2505
Co1 0.0000 0.0000 0.0000
Co2 0.0000 0.5000 0.0000
Co3 0.0000 0.5000 0.5000
Co4 0.5000 0.0000 0.0000
Co5 0.5000 0.0000 0.5000
Co6 0.5000 0.5000 0.5000
O1 0.0960 0.6593 0.1134
O2 0.1367 0.1208 0.1048
O3 0.1613 0.1284 0.6138
O4 0.1610 0.5942 0.6156
O5 0.3554 0.8964 0.8938
O6 0.3639 0.3681 0.3985
O7 0.3741 0.3375 0.8855
O8 0.3961 0.8536 0.3959
O9 0.6039 0.1464 0.6041
O10 0.6259 0.6625 0.1145
O11 0.6361 0.6319 0.6015
O12 0.6446 0.1036 0.1062
O13 0.8390 0.4058 0.3844
O14 0.8387 0.8716 0.3862
O15 0.8633 0.8792 0.8952
O16 0.9040 0.3407 0.8866

---

DFT (PBE with a Hubbard U) results for Li2V3O6 after structural relaxation.

Calculated values
calculated total energy: -7.147 eV per atom
theoretical density: 3.8 g/cm³
ΔE_f: -2461 meV/atom

Cell: 5.1360 5.2031 8.9715 Å, 90.00 90.00 72.16°
Fractional coordinates of all 22 atoms:
V1 0.0000 0.5000 0.5000
V2 0.5000 0.5000 0.0000
V3 0.0000 0.5000 0.1666
V4 0.5000 0.5000 0.6667
V5 0.5000 0.5000 0.3333
V6 0.0000 0.5000 0.8334
Li1 0.0000 0.0000 0.6683
Li2 0.5000 0.0000 0.8318
Li3 0.0000 0.0000 0.3317
Li4 0.5000 0.0000 0.1682
O1 0.2740 0.7194 0.1681
O2 0.7418 0.7141 0.0000
O3 0.7740 0.7193 0.6682
O4 0.2740 0.7194 0.8319
O5 0.2260 0.2807 0.6682
O6 0.7740 0.7193 0.3318
O7 0.2582 0.2859 0.0000
O8 0.7260 0.2806 0.1681
O9 0.7582 0.2860 0.5000
O10 0.2418 0.7140 0.5000
O11 0.7260 0.2806 0.8319
O12 0.2260 0.2807 0.3318

---

DFT (PBE with a Hubbard U) results for Na3Ni2P2C2O14 after structural relaxation.

Calculated values
calculated total energy: -6.311 eV per atom
theoretical density: 2.8 g/cm³
ΔE_f: -1990 meV/atom

Cell: 8.2843 8.2998 8.9285 Å, 90.15 91.71 103.13°
Fractional coordinates of all 46 atoms:
Na1 0.0971 0.1398 0.2418
Na2 0.3780 0.3770 0.7439
Na3 0.3804 0.8670 0.2514
Na4 0.6196 0.1330 0.7486
Na5 0.6220 0.6230 0.2561
Na6 0.9029 0.8602 0.7582
Ni1 0.0172 0.7618 0.1526
Ni2 0.4808 0.7334 0.8439
Ni3 0.5192 0.2666 0.1561
Ni4 0.9828 0.2382 0.8474
P1 0.2373 0.4865 0.0720
P2 0.2698 0.0213 0.9242
P3 0.7302 0.9787 0.0758
P4 0.7627 0.5135 0.9280
C1 0.0130 0.2699 0.5755
C2 0.4786 0.2330 0.4253
C3 0.5214 0.7670 0.5747
C4 0.9870 0.7301 0.4245
O1 0.0348 0.2839 0.4382
O2 0.0932 0.3356 0.0358
O3 0.1020 0.8432 0.3657
O4 0.1053 0.3666 0.6741
O5 0.1389 0.0787 0.8239
O6 0.1854 0.6201 0.1668
O7 0.1966 0.9482 0.0725
O8 0.3107 0.5538 0.9225
O9 0.3360 0.8995 0.8264
O10 0.3669 0.4306 0.1765
O11 0.3842 0.1401 0.3234
O12 0.4052 0.6560 0.6323
O13 0.4164 0.1736 0.9615
O14 0.4582 0.2149 0.5631
O15 0.5418 0.7851 0.4369
O16 0.5836 0.8264 0.0385
O17 0.5948 0.3440 0.3677
O18 0.6158 0.8599 0.6766
O19 0.6331 0.5694 0.8235
O20 0.6640 0.1005 0.1736
O21 0.6893 0.4462 0.0775
O22 0.8034 0.0518 0.9275
O23 0.8146 0.3799 0.8332
O24 0.8611 0.9213 0.1761
O25 0.8947 0.6334 0.3259
O26 0.8980 0.1568 0.6343
O27 0.9068 0.6644 0.9642
O28 0.9652 0.7161 0.5618

---

DFT (PBE with a Hubbard U) results for Li2Mn2Si3O9 after structural relaxation.

Calculated values
calculated total energy: -7.337 eV per atom
theoretical density: 2.4 g/cm³
ΔE_f: -2748 meV/atom

Cell: 12.7645 10.2699 7.3203 Å, 90.00 90.00 90.00°
Fractional coordinates of all 64 atoms:
Li1 0.1580 0.0102 0.0538
Li2 0.1580 0.4898 0.0538
Li3 0.3420 0.5102 0.5538
Li4 0.3420 0.9898 0.5538
Li5 0.6580 0.0102 0.4462
Li6 0.6580 0.4898 0.4462
Li7 0.8420 0.5102 0.9462
Li8 0.8420 0.9898 0.9462
Mn1 0.0900 0.0653 0.6190
Mn2 0.0900 0.4347 0.6190
Mn3 0.4100 0.5653 0.1190
Mn4 0.4100 0.9347 0.1190
Mn5 0.5900 0.0653 0.8810
Mn6 0.5900 0.4347 0.8810
Mn7 0.9100 0.5653 0.3810
Mn8 0.9100 0.9347 0.3810
Si1 0.0289 0.2500 0.9671
Si2 0.0580 0.7500 0.6457
Si3 0.2090 0.7500 0.9654
Si4 0.2910 0.2500 0.4654
Si5 0.4420 0.2500 0.1457
Si6 0.4711 0.7500 0.4671
Si7 0.5289 0.2500 0.5329
Si8 0.5580 0.7500 0.8543
Si9 0.7090 0.7500 0.5346
Si10 0.7910 0.2500 0.0346
Si11 0.9420 0.2500 0.3543
Si12 0.9711 0.7500 0.0329
O1 0.0348 0.2500 0.1939
O2 0.0454 0.6190 0.5246
O3 0.0454 0.8810 0.5246
O4 0.0824 0.1166 0.8912
O5 0.0824 0.3834 0.8912
O6 0.0977 0.7500 0.0837
O7 0.1741 0.7500 0.7460
O8 0.2322 0.1138 0.5109
O9 0.2322 0.3862 0.5109
O10 0.2678 0.6138 0.0109
O11 0.2678 0.8862 0.0109
O12 0.3259 0.2500 0.2460
O13 0.4023 0.2500 0.5837
O14 0.4176 0.6166 0.3912
O15 0.4176 0.8834 0.3912
O16 0.4546 0.1190 0.0246
O17 0.4546 0.3810 0.0246
O18 0.4652 0.7500 0.6939
O19 0.5348 0.2500 0.3061
O20 0.5454 0.6190 0.9754
O21 0.5454 0.8810 0.9754
O22 0.5824 0.1166 0.6088
O23 0.5824 0.3834 0.6088
O24 0.5977 0.7500 0.4163
O25 0.6741 0.7500 0.7540
O26 0.7322 0.1138 0.9891
O27 0.7322 0.3862 0.9891
O28 0.7678 0.6138 0.4891
O29 0.7678 0.8862 0.4891
O30 0.8259 0.2500 0.2540
O31 0.9023 0.2500 0.9163
O32 0.9176 0.6166 0.1088
O33 0.9176 0.8834 0.1088
O34 0.9546 0.1190 0.4754
O35 0.9546 0.3810 0.4754
O36 0.9652 0.7500 0.8061

---

DFT (PBE with a Hubbard U) results for Li3Mn4B4O12 after structural relaxation.

Calculated values
calculated total energy: -7.399 eV per atom
theoretical density: 3.1 g/cm³
ΔE_f: -2462 meV/atom

Cell: 5.2271 6.1753 7.8953 Å, 80.34 88.20 87.14°
Fractional coordinates of all 23 atoms:
Li1 0.0000 0.0000 0.0000
Li2 0.1782 0.9322 0.6945
Li3 0.5166 0.4845 0.4909
Mn1 0.1874 0.2179 0.3433
Mn2 0.4934 0.2130 0.8533
Mn3 0.6889 0.6933 0.8653
Mn4 0.9853 0.7233 0.3464
B1 0.1898 0.5728 0.0195
B2 0.4911 0.8730 0.1887
B3 0.6846 0.0420 0.5243
B4 0.9927 0.3760 0.6811
O1 0.0725 0.5073 0.1801
O2 0.0742 0.7286 0.8960
O3 0.0984 0.2111 0.8009
O4 0.1285 0.4624 0.5326
O5 0.2317 0.9465 0.1974
O6 0.4287 0.4818 0.9885
O7 0.5615 0.9601 0.6797
O8 0.5708 0.2016 0.4084
O9 0.5983 0.7369 0.3241
O10 0.6280 0.9413 0.0358
O11 0.7377 0.4501 0.7030
O12 0.9447 0.9697 0.4961

---

DFT (PBE with a Hubbard U) results for NaV2O4F after structural relaxation.

Calculated values
calculated total energy: -6.847 eV per atom
theoretical density: 3.2 g/cm³
ΔE_f: -2524 meV/atom

Cell: 3.8142 5.0184 11.2243 Å, 90.00 90.00 90.00°
Fractional coordinates of all 16 atoms:
Na1 0.0000 0.1403 0.0000
Na2 0.5000 0.8597 0.5000
V1 0.0000 0.3903 0.3510
V2 0.0000 0.4190 0.6576
V3 0.5000 0.5810 0.1576
V4 0.5000 0.6097 0.8510
O1 0.0000 0.0624 0.3725
O2 0.0000 0.5061 0.8258
O3 0.0000 0.5158 0.1846
O4 0.0000 0.5470 0.5113
O5 0.5000 0.4530 0.0113
O6 0.5000 0.4842 0.6846
O7 0.5000 0.4939 0.3258
O8 0.5000 0.9376 0.8725
F1 0.0000 0.0510 0.6335
F2 0.5000 0.9490 0.1335

---

DFT (PBE with a Hubbard U) results for Sr2MgMnO4 after structural relaxation.

Calculated values
calculated total energy: -6.066 eV per atom
theoretical density: 3.7 g/cm³
ΔE_f: -2376 meV/atom

Cell: 9.6253 9.6253 9.6253 Å, 156.26 156.26 33.82°
Fractional coordinates of all 8 atoms:
Sr1 0.1850 0.1850 0.0000
Sr2 0.8150 0.8150 0.0000
Mg1 0.0000 0.0000 0.0000
Mn1 0.5000 0.5000 0.0000
O1 0.0000 0.5000 0.5000
O2 0.3111 0.3111 0.0000
O3 0.5000 0.0000 0.5000
O4 0.6889 0.6889 0.0000

---

DFT (PBE with a Hubbard U) results for Li4Fe5Ni2O12 after structural relaxation.

Calculated values
calculated total energy: -5.891 eV per atom
theoretical density: 4.6 g/cm³
ΔE_f: -1704 meV/atom

Cell: 5.1724 8.8729 9.7663 Å, 90.00 99.21 90.00°
Fractional coordinates of all 46 atoms:
Li1 0.0018 0.0000 0.2446
Li2 0.0129 0.8262 0.7568
Li3 0.2596 0.9940 0.9970
Li4 0.4918 0.8166 0.2453
Li5 0.5082 0.3166 0.7547
Li6 0.7404 0.4940 0.0030
Li7 0.9871 0.3262 0.2432
Li8 0.9982 0.5000 0.7554
Fe1 0.0115 0.1532 0.7599
Fe2 0.2454 0.8287 0.5023
Fe3 0.2475 0.3322 0.0033
Fe4 0.2589 0.4906 0.4962
Fe5 0.4920 0.1618 0.2440
Fe6 0.5080 0.6618 0.7560
Fe7 0.7411 0.9906 0.5038
Fe8 0.7525 0.8322 0.9967
Fe9 0.7546 0.3287 0.4977
Fe10 0.9885 0.6532 0.2401
Ni1 0.2538 0.1572 0.5065
Ni2 0.2547 0.6588 0.0038
Ni3 0.7453 0.1588 0.9962
Ni4 0.7462 0.6572 0.4935
O1 0.0984 0.9923 0.6192
O2 0.1128 0.3261 0.6202
O3 0.1161 0.5056 0.1095
O4 0.1228 0.8109 0.1178
O5 0.1436 0.1721 0.1319
O6 0.1445 0.6585 0.6228
O7 0.3513 0.6643 0.3802
O8 0.3538 0.1778 0.8765
O9 0.3630 0.5064 0.8841
O10 0.3781 0.8068 0.8878
O11 0.3848 0.9939 0.3799
O12 0.3896 0.3187 0.3865
O13 0.6104 0.8187 0.6135
O14 0.6152 0.4939 0.6201
O15 0.6219 0.3068 0.1122
O16 0.6370 0.0064 0.1159
O17 0.6462 0.6778 0.1235
O18 0.6487 0.1643 0.6198
O19 0.8555 0.1585 0.3772
O20 0.8564 0.6721 0.8681
O21 0.8772 0.3109 0.8822
O22 0.8839 0.0056 0.8905
O23 0.8872 0.8261 0.3798
O24 0.9016 0.4923 0.3808

---

Q: theoretical density of number 6 (Li2Mn2Si3O9)?
A: 2.4 g/cm³

---

Q: Look up the calculated total energy of the ninth one.
A: -6.066 eV per atom